Density functional theory data (PBE) for B4Rh5 after structural relaxation.

a = 3.336 Å, b = 3.336 Å, c = 20.623 Å
α = 90.00°, β = 90.00°, γ = 120.00°
Element x y z (fractional)
B 0.667 0.333 0.086
B 0.333 0.667 0.586
B 0.667 0.333 0.304
B 0.333 0.667 0.696
B 0.667 0.333 0.196
B 0.333 0.667 0.804
B 0.333 0.667 0.914
B 0.667 0.333 0.414
Rh 0.000 0.000 0.852
Rh 0.000 0.000 0.648
Rh 0.000 0.000 0.352
Rh 0.667 0.333 0.952
Rh 0.667 0.333 0.548
Rh 0.667 0.333 0.750
Rh 0.000 0.000 0.148
Rh 0.333 0.667 0.452
Rh 0.333 0.667 0.048
Rh 0.333 0.667 0.250

---

Density functional theory data (PBE) for Sc4B12Rh17 after structural relaxation.

Properties
**M_tot**: 0.06 μB/cell

a = 10.803 Å, b = 9.234 Å, c = 16.199 Å
α = 79.07°, β = 90.00°, γ = 90.00°
Element x y z (fractional)
Sc 0.626 0.996 0.756
Sc 0.126 0.004 0.744
Sc 0.374 0.004 0.244
Sc 0.874 0.996 0.256
Sc 0.876 0.747 0.999
Sc 0.376 0.253 0.501
Sc 0.124 0.253 0.001
Sc 0.624 0.747 0.499
Sc 0.878 0.472 0.750
Sc 0.378 0.528 0.750
Sc 0.122 0.528 0.250
Sc 0.622 0.472 0.250
Sc 0.861 0.229 0.514
Sc 0.361 0.771 0.986
Sc 0.139 0.771 0.486
Sc 0.639 0.229 0.014
B 0.547 0.997 0.597
B 0.047 0.003 0.903
B 0.453 0.003 0.403
B 0.953 0.997 0.097
B 0.226 0.995 0.591
B 0.726 0.005 0.909
B 0.774 0.005 0.409
B 0.274 0.995 0.091
B 0.877 0.952 0.704
B 0.377 0.048 0.796
B 0.123 0.048 0.296
B 0.623 0.952 0.204
B 0.866 0.923 0.505
B 0.366 0.077 0.995
B 0.134 0.077 0.495
B 0.634 0.923 0.005
B 0.552 0.712 0.800
B 0.052 0.288 0.700
B 0.448 0.288 0.200
B 0.948 0.712 0.300
B 0.885 0.691 0.852
B 0.385 0.309 0.648
B 0.115 0.309 0.148
B 0.615 0.691 0.352
B 0.060 0.660 0.639
B 0.560 0.340 0.861
B 0.940 0.340 0.361
B 0.440 0.660 0.139
B 0.703 0.658 0.649
B 0.203 0.342 0.851
B 0.297 0.342 0.351
B 0.797 0.658 0.149
B 0.871 0.572 0.502
B 0.371 0.428 0.998
B 0.129 0.428 0.498
B 0.629 0.572 0.002
B 0.622 0.396 0.505
B 0.122 0.604 0.995
B 0.378 0.604 0.495
B 0.878 0.396 0.005
B 0.881 0.314 0.907
B 0.381 0.686 0.593
B 0.119 0.686 0.093
B 0.619 0.314 0.407
B 0.703 0.285 0.708
B 0.203 0.715 0.792
B 0.297 0.715 0.292
B 0.797 0.285 0.208
Rh 0.013 0.958 0.589
Rh 0.513 0.042 0.911
Rh 0.987 0.042 0.411
Rh 0.487 0.958 0.089
Rh 0.746 0.956 0.604
Rh 0.246 0.044 0.896
Rh 0.254 0.044 0.396
Rh 0.754 0.956 0.104
Rh 0.880 0.932 0.840
Rh 0.380 0.068 0.660
Rh 0.120 0.068 0.160
Rh 0.620 0.932 0.340
Rh 0.109 0.913 0.035
Rh 0.609 0.087 0.465
Rh 0.891 0.087 0.965
Rh 0.391 0.913 0.535
Rh 0.104 0.784 0.894
Rh 0.604 0.216 0.606
Rh 0.896 0.216 0.106
Rh 0.396 0.784 0.394
Rh 0.647 0.781 0.911
Rh 0.147 0.219 0.589
Rh 0.353 0.219 0.089
Rh 0.853 0.781 0.411
Rh 0.228 0.768 0.656
Rh 0.728 0.232 0.844
Rh 0.772 0.232 0.344
Rh 0.272 0.768 0.156
Rh 0.531 0.764 0.663
Rh 0.031 0.236 0.837
Rh 0.469 0.236 0.337
Rh 0.969 0.764 0.163
Rh 0.001 0.757 0.742
Rh 0.501 0.243 0.758
Rh 0.999 0.243 0.258
Rh 0.499 0.757 0.242
Rh 0.750 0.747 0.757
Rh 0.250 0.253 0.743
Rh 0.250 0.253 0.243
Rh 0.750 0.747 0.257
Rh 0.877 0.716 0.590
Rh 0.377 0.284 0.910
Rh 0.123 0.284 0.410
Rh 0.623 0.716 0.090
Rh 0.508 0.534 0.906
Rh 0.008 0.466 0.594
Rh 0.492 0.466 0.094
Rh 0.992 0.534 0.406
Rh 0.754 0.511 0.909
Rh 0.254 0.489 0.591
Rh 0.246 0.489 0.091
Rh 0.746 0.511 0.409
Rh 0.627 0.496 0.751
Rh 0.127 0.504 0.749
Rh 0.373 0.504 0.249
Rh 0.873 0.496 0.251
Rh 0.501 0.491 0.592
Rh 0.001 0.509 0.908
Rh 0.499 0.509 0.408
Rh 0.999 0.491 0.092
Rh 0.745 0.463 0.597
Rh 0.245 0.537 0.903
Rh 0.255 0.537 0.403
Rh 0.755 0.463 0.097
Rh 0.878 0.185 0.684
Rh 0.378 0.815 0.816
Rh 0.122 0.815 0.316
Rh 0.622 0.185 0.184

---

Density functional theory data (PBE) for Sc5BRh15 after structural relaxation.

Properties
**M_tot**: 0.03 μB/cell

a = 4.026 Å, b = 4.026 Å, c = 19.519 Å
α = 90.00°, β = 90.00°, γ = 90.00°
Element x y z (fractional)
Sc 0.000 0.000 0.896
Sc 0.000 0.000 0.104
Sc 0.000 0.000 0.301
Sc 0.000 0.000 0.500
Sc 0.000 0.000 0.699
B 0.500 0.500 0.000
Rh 0.500 0.500 0.893
Rh 0.500 0.500 0.107
Rh 0.500 0.500 0.304
Rh 0.500 0.500 0.500
Rh 0.500 0.500 0.696
Rh 0.500 0.000 0.000
Rh 0.500 0.000 0.204
Rh 0.500 0.000 0.401
Rh 0.500 0.000 0.599
Rh 0.500 0.000 0.796
Rh 0.000 0.500 0.000
Rh 0.000 0.500 0.204
Rh 0.000 0.500 0.401
Rh 0.000 0.500 0.599
Rh 0.000 0.500 0.796

---

Density functional theory data (PBE) for ScBRh3 after structural relaxation.

a = 4.130 Å, b = 4.130 Å, c = 4.130 Å
α = 90.00°, β = 90.00°, γ = 90.00°
Element x y z (fractional)
Sc 0.000 0.000 0.000
B 0.500 0.500 0.500
Rh 0.000 0.500 0.500
Rh 0.500 0.000 0.500
Rh 0.500 0.500 0.000

---

Density functional theory data (PBE) for Sc2B6Rh after structural relaxation.

a = 3.466 Å, b = 8.929 Å, c = 11.198 Å
α = 90.00°, β = 90.00°, γ = 90.00°
Element x y z (fractional)
Sc 0.000 0.945 0.373
Sc 0.000 0.055 0.627
Sc 0.000 0.555 0.873
Sc 0.000 0.181 0.914
Sc 0.000 0.819 0.086
Sc 0.000 0.681 0.586
Sc 0.000 0.319 0.414
Sc 0.000 0.445 0.127
B 0.500 0.368 0.819
B 0.500 0.980 0.213
B 0.500 0.555 0.437
B 0.500 0.297 0.238
B 0.500 0.203 0.738
B 0.500 0.102 0.472
B 0.500 0.797 0.262
B 0.500 0.445 0.563
B 0.500 0.247 0.578
B 0.500 0.480 0.287
B 0.500 0.703 0.762
B 0.500 0.753 0.422
B 0.500 0.520 0.713
B 0.500 0.898 0.528
B 0.500 0.055 0.063
B 0.500 0.602 0.028
B 0.500 0.747 0.922
B 0.500 0.020 0.787
B 0.500 0.398 0.972
B 0.500 0.945 0.937
B 0.500 0.632 0.181
B 0.500 0.253 0.078
B 0.500 0.868 0.681
B 0.500 0.132 0.319
Rh 0.000 0.141 0.180
Rh 0.000 0.359 0.680
Rh 0.000 0.859 0.820
Rh 0.000 0.641 0.320

---

Density functional theory data (PBE) for ThScB8Rh8 after structural relaxation.

a = 5.351 Å, b = 5.351 Å, c = 7.514 Å
α = 90.00°, β = 90.00°, γ = 90.00°
Element x y z (fractional)
Th 0.000 0.000 0.500
Sc 0.500 0.500 0.000
B 0.329 0.000 0.148
B 0.671 0.000 0.148
B 0.500 0.833 0.651
B 0.500 0.167 0.651
B 0.167 0.500 0.349
B 0.833 0.500 0.349
B 0.000 0.671 0.852
B 0.000 0.329 0.852
Rh 0.749 0.000 0.859
Rh 0.251 0.000 0.859
Rh 0.500 0.252 0.348
Rh 0.500 0.748 0.348
Rh 0.748 0.500 0.652
Rh 0.252 0.500 0.652
Rh 0.000 0.251 0.141
Rh 0.000 0.749 0.141

---

Density functional theory data (PBE) for ScZn10B8Rh18 after structural relaxation.

Properties
**M_tot**: 0.29 μB/cell

a = 17.979 Å, b = 17.979 Å, c = 2.895 Å
α = 90.00°, β = 90.00°, γ = 90.00°
Element x y z (fractional)
Sc 0.000 0.000 0.000
Sc 0.500 0.500 0.000
Zn 0.550 0.050 0.000
Zn 0.450 0.950 0.000
Zn 0.050 0.450 0.000
Zn 0.950 0.550 0.000
Zn 0.032 0.187 0.000
Zn 0.968 0.813 0.000
Zn 0.187 0.968 0.000
Zn 0.532 0.313 0.000
Zn 0.813 0.032 0.000
Zn 0.468 0.687 0.000
Zn 0.687 0.532 0.000
Zn 0.313 0.468 0.000
Zn 0.210 0.710 0.000
Zn 0.790 0.290 0.000
Zn 0.710 0.790 0.000
Zn 0.290 0.210 0.000
Zn 0.667 0.167 0.000
Zn 0.333 0.833 0.000
Zn 0.167 0.333 0.000
Zn 0.833 0.667 0.000
B 0.336 0.039 0.000
B 0.664 0.961 0.000
B 0.039 0.664 0.000
B 0.836 0.461 0.000
B 0.961 0.336 0.000
B 0.164 0.539 0.000
B 0.539 0.836 0.000
B 0.461 0.164 0.000
B 0.172 0.128 0.000
B 0.828 0.872 0.000
B 0.128 0.828 0.000
B 0.672 0.372 0.000
B 0.872 0.172 0.000
B 0.328 0.628 0.000
B 0.628 0.672 0.000
B 0.372 0.328 0.000
Rh 0.258 0.089 0.500
Rh 0.742 0.911 0.500
Rh 0.089 0.742 0.500
Rh 0.758 0.411 0.500
Rh 0.911 0.258 0.500
Rh 0.242 0.589 0.500
Rh 0.589 0.758 0.500
Rh 0.411 0.242 0.500
Rh 0.047 0.325 0.500
Rh 0.953 0.675 0.500
Rh 0.325 0.953 0.500
Rh 0.547 0.175 0.500
Rh 0.675 0.047 0.500
Rh 0.453 0.825 0.500
Rh 0.825 0.547 0.500
Rh 0.175 0.453 0.500
Rh 0.160 0.213 0.500
Rh 0.840 0.787 0.500
Rh 0.213 0.840 0.500
Rh 0.660 0.287 0.500
Rh 0.787 0.160 0.500
Rh 0.340 0.713 0.500
Rh 0.713 0.660 0.500
Rh 0.287 0.340 0.500
Rh 0.104 0.070 0.500
Rh 0.896 0.930 0.500
Rh 0.070 0.896 0.500
Rh 0.604 0.430 0.500
Rh 0.930 0.104 0.500
Rh 0.396 0.570 0.500
Rh 0.570 0.604 0.500
Rh 0.430 0.396 0.500
Rh 0.081 0.581 0.500
Rh 0.919 0.419 0.500
Rh 0.581 0.919 0.500
Rh 0.419 0.081 0.500

---

Density functional theory data (PBE) for Zn10SiB8Rh18 after structural relaxation.

Properties
**M_tot**: 0.03 μB/cell

a = 17.856 Å, b = 17.856 Å, c = 2.875 Å
α = 90.00°, β = 90.00°, γ = 90.00°
Element x y z (fractional)
Zn 0.550 0.050 0.000
Zn 0.450 0.950 0.000
Zn 0.050 0.450 0.000
Zn 0.950 0.550 0.000
Zn 0.032 0.189 0.000
Zn 0.968 0.811 0.000
Zn 0.189 0.968 0.000
Zn 0.532 0.311 0.000
Zn 0.811 0.032 0.000
Zn 0.468 0.689 0.000
Zn 0.689 0.532 0.000
Zn 0.311 0.468 0.000
Zn 0.209 0.709 0.000
Zn 0.791 0.291 0.000
Zn 0.709 0.791 0.000
Zn 0.291 0.209 0.000
Zn 0.669 0.169 0.000
Zn 0.331 0.831 0.000
Zn 0.169 0.331 0.000
Zn 0.831 0.669 0.000
Si 0.000 0.000 0.000
Si 0.500 0.500 0.000
B 0.334 0.039 0.000
B 0.666 0.961 0.000
B 0.039 0.666 0.000
B 0.834 0.461 0.000
B 0.961 0.334 0.000
B 0.166 0.539 0.000
B 0.539 0.834 0.000
B 0.461 0.166 0.000
B 0.167 0.124 0.000
B 0.833 0.876 0.000
B 0.124 0.833 0.000
B 0.667 0.376 0.000
B 0.876 0.167 0.000
B 0.333 0.624 0.000
B 0.624 0.667 0.000
B 0.376 0.333 0.000
Rh 0.254 0.087 0.500
Rh 0.746 0.913 0.500
Rh 0.087 0.746 0.500
Rh 0.754 0.413 0.500
Rh 0.913 0.254 0.500
Rh 0.246 0.587 0.500
Rh 0.587 0.754 0.500
Rh 0.413 0.246 0.500
Rh 0.048 0.326 0.500
Rh 0.952 0.674 0.500
Rh 0.326 0.952 0.500
Rh 0.548 0.174 0.500
Rh 0.674 0.048 0.500
Rh 0.452 0.826 0.500
Rh 0.826 0.548 0.500
Rh 0.174 0.452 0.500
Rh 0.160 0.210 0.500
Rh 0.840 0.790 0.500
Rh 0.210 0.840 0.500
Rh 0.660 0.290 0.500
Rh 0.790 0.160 0.500
Rh 0.340 0.710 0.500
Rh 0.710 0.660 0.500
Rh 0.290 0.340 0.500
Rh 0.095 0.065 0.500
Rh 0.905 0.935 0.500
Rh 0.065 0.905 0.500
Rh 0.595 0.435 0.500
Rh 0.935 0.095 0.500
Rh 0.405 0.565 0.500
Rh 0.565 0.595 0.500
Rh 0.435 0.405 0.500
Rh 0.082 0.582 0.500
Rh 0.918 0.418 0.500
Rh 0.582 0.918 0.500
Rh 0.418 0.082 0.500

---

no.,energy relative to the elements (eV/atom)
1,-0.36
2,-0.62
3,-0.63
4,-0.75
5,-0.72
6,-0.55
7,-0.44
8,-0.45